w) Computed, not measured: a geometry-optimized Li12Mn3V5P12O48 structure at the PBE+U level of DFT.

Computed properties:
* total magnetic moment: 0.275 μB/atom
* SG: No. 1

Cell: 8.695 8.708 12.330 Å, 89.69 88.63 89.85°
Atoms (fractional coordinates):
Li 0.294 0.716 0.674
P 0.396 0.117 0.356
O 0.326 0.452 0.550
O 0.077 0.112 0.148
Li 0.709 0.279 0.325
O 0.898 0.371 0.574
O 0.173 0.833 0.566
Li 0.421 0.419 0.198
Li 0.920 0.697 0.760
P 0.601 0.599 0.350
V 0.254 0.038 0.610
Li 0.419 0.804 0.263
O 0.644 0.716 0.681
Mn 0.248 0.466 0.396
Li 0.077 0.920 0.301
P 0.536 0.747 0.007
O 0.834 0.179 0.431
O 0.546 0.364 0.067
O 0.430 0.905 0.668
O 0.070 0.404 0.831
O 0.420 0.608 0.353
Li 0.206 0.217 0.825
O 0.696 0.002 0.716
P 0.965 0.253 0.493
O 0.567 0.181 0.904
O 0.141 0.597 0.023
O 0.925 0.885 0.851
O 0.159 0.734 0.810
O 0.430 0.817 0.098
O 0.073 0.324 0.403
O 0.357 0.286 0.321
P 0.460 0.250 0.994
O 0.641 0.910 0.525
O 0.108 0.634 0.427
O 0.642 0.476 0.261
O 0.668 0.667 0.069
O 0.804 0.502 0.782
V 0.748 0.031 0.892
P 0.103 0.618 0.144
O 0.394 0.130 0.075
O 0.954 0.868 0.433
Li 0.085 0.304 0.238
O 0.577 0.384 0.649
O 0.854 0.980 0.240
O 0.051 0.135 0.564
Li 0.576 0.583 0.804
P 0.897 0.101 0.149
O 0.608 0.866 0.929
O 0.358 0.095 0.477
O 0.671 0.550 0.456
O 0.857 0.215 0.819
O 0.326 0.329 0.935
P 0.895 0.384 0.852
Li 0.789 0.779 0.178
O 0.360 0.516 0.744
O 0.829 0.051 0.043
O 0.929 0.597 0.167
V 0.753 0.531 0.608
O 0.933 0.684 0.596
O 0.196 0.499 0.209
P 0.397 0.395 0.652
O 0.141 0.788 0.178
P 0.104 0.896 0.847
P 0.605 0.884 0.647
O 0.571 0.097 0.333
V 0.752 0.459 0.110
Mn 0.253 0.964 0.104
Li 0.580 0.196 0.741
Mn 0.748 0.960 0.392
O 0.650 0.760 0.309
O 0.174 0.953 0.950
V 0.246 0.538 0.890
Li 0.925 0.086 0.696
O 0.343 0.232 0.690
O 0.852 0.412 0.971
O 0.843 0.265 0.186
P 0.039 0.753 0.506
O 0.451 0.633 0.935
O 0.140 0.018 0.755
O 0.304 0.998 0.291



x) Computed, not measured: a geometry-optimized Li12Mn3V5P12O48 structure at the PBE+U level of DFT.

Computed properties:
* total magnetic moment: 0.275 μB/atom
* SG: No. 1

Cell: 8.707 12.193 8.729 Å, 90.23 90.04 90.52°
Atoms (fractional coordinates):
O 0.351 0.527 0.912
Li 0.295 0.324 0.279
Li 0.923 0.303 0.916
O 0.568 0.669 0.902
P 0.896 0.851 0.902
O 0.639 0.744 0.525
O 0.647 0.694 0.241
O 0.835 0.565 0.823
O 0.388 0.932 0.869
O 0.427 0.907 0.175
P 0.395 0.648 0.881
O 0.420 0.651 0.396
V 0.745 0.108 0.971
O 0.694 0.280 0.998
O 0.937 0.401 0.313
V 0.245 0.608 0.527
P 0.105 0.852 0.382
O 0.909 0.420 0.630
O 0.351 0.261 0.485
O 0.802 0.206 0.499
O 0.544 0.934 0.634
V 0.245 0.110 0.462
Li 0.425 0.801 0.581
Li 0.424 0.740 0.197
O 0.112 0.568 0.368
O 0.848 0.808 0.742
V 0.254 0.891 0.026
O 0.353 0.678 0.713
O 0.328 0.070 0.668
Mn 0.753 0.891 0.542
O 0.956 0.567 0.134
O 0.071 0.165 0.593
Li 0.073 0.698 0.081
O 0.336 0.316 0.768
O 0.640 0.472 0.092
O 0.859 0.177 0.787
O 0.569 0.097 0.821
P 0.039 0.491 0.245
O 0.673 0.549 0.454
Li 0.585 0.263 0.802
P 0.968 0.504 0.746
P 0.394 0.352 0.605
Li 0.205 0.178 0.780
O 0.194 0.781 0.501
O 0.174 0.039 0.053
O 0.670 0.937 0.325
P 0.535 0.995 0.248
V 0.253 0.391 0.960
O 0.606 0.074 0.127
O 0.058 0.434 0.868
Mn 0.753 0.397 0.468
O 0.426 0.333 0.088
O 0.825 0.961 0.946
O 0.158 0.185 0.266
Mn 0.746 0.608 0.040
O 0.075 0.594 0.676
Li 0.708 0.674 0.719
O 0.446 0.069 0.362
P 0.105 0.147 0.103
O 0.867 0.018 0.602
Li 0.579 0.199 0.421
O 0.076 0.854 0.895
P 0.601 0.654 0.402
P 0.602 0.352 0.116
O 0.306 0.721 0.000
O 0.175 0.433 0.163
O 0.326 0.460 0.551
O 0.572 0.352 0.617
O 0.932 0.830 0.401
Li 0.076 0.760 0.697
P 0.896 0.141 0.617
O 0.637 0.316 0.282
O 0.148 0.822 0.213
Li 0.914 0.238 0.306
O 0.146 0.238 0.983
Li 0.791 0.823 0.222
O 0.858 0.765 0.027
P 0.462 0.009 0.748
O 0.150 0.973 0.414
O 0.926 0.146 0.110



Of them, the most stable is w) and the least stable is x).



w) Computed, not measured: a geometry-optimized Li2MnVP4O14 structure at the PBE+U level of DFT.

Computed properties:
* total magnetic moment: 0.273 μB/atom
* SG: No. 1

Cell: 4.870 7.075 24.834 Å, 89.52 89.76 71.19°
Atoms (fractional coordinates):
O 0.810 0.482 0.512
P 0.214 0.908 0.929
O 0.944 0.850 0.943
Li 0.822 0.674 0.454
O 0.752 0.507 0.281
Li 0.827 0.675 0.787
O 0.950 0.852 0.275
O 0.755 0.495 0.614
O 0.596 0.247 0.384
O 0.055 0.150 0.776
O 0.397 0.397 0.226
P 0.787 0.086 0.428
O 0.811 0.482 0.845
O 0.597 0.248 0.051
P 0.789 0.087 0.096
O 0.399 0.914 0.645
O 0.132 0.110 0.566
P 0.402 0.484 0.726
O 0.187 0.517 0.346
Mn 0.212 0.272 0.833
V 0.216 0.274 0.167
Li 0.174 0.327 0.620
O 0.866 0.886 0.399
O 0.405 0.754 0.218
O 0.191 0.520 0.678
O 0.872 0.891 0.735
O 0.050 0.148 0.441
V 0.213 0.271 0.500
P 0.600 0.524 0.227
O 0.049 0.154 0.109
P 0.599 0.516 0.892
P 0.400 0.476 0.393
P 0.787 0.091 0.763
O 0.392 0.391 0.890
O 0.403 0.749 0.885
O 0.187 0.518 0.012
P 0.215 0.911 0.595
O 0.603 0.604 0.392
V 0.785 0.729 0.333
O 0.250 0.495 0.114
Li 0.177 0.326 0.287
Li 0.824 0.675 0.120
O 0.873 0.886 0.068
O 0.750 0.492 0.947
O 0.813 0.485 0.179
O 0.599 0.252 0.719
O 0.404 0.750 0.552
O 0.601 0.083 0.478
Li 0.172 0.325 0.953
P 0.214 0.914 0.261
O 0.943 0.855 0.609
O 0.603 0.607 0.058
O 0.392 0.395 0.558
P 0.402 0.477 0.059
O 0.597 0.091 0.812
O 0.608 0.610 0.724
O 0.402 0.908 0.979
O 0.134 0.115 0.232
O 0.398 0.916 0.311
O 0.249 0.507 0.780
O 0.128 0.110 0.901
Mn 0.786 0.727 0.000
O 0.247 0.492 0.448
Mn 0.787 0.731 0.666
P 0.600 0.518 0.560
O 0.600 0.088 0.146



x) Computed, not measured: a geometry-optimized Li2MnVP4O14 structure at the PBE+U level of DFT.

Computed properties:
* total magnetic moment: 0.267 μB/atom
* SG: No. 1

Cell: 4.855 8.337 7.082 Å, 91.76 108.56 89.49°
Atoms (fractional coordinates):
P 0.220 0.786 0.091
Li 0.173 0.859 0.671
O 0.865 0.208 0.112
O 0.592 0.153 0.752
O 0.189 0.034 0.478
O 0.809 0.537 0.513
Li 0.824 0.356 0.330
O 0.595 0.438 0.910
Mn 0.791 0.999 0.272
P 0.403 0.176 0.523
O 0.610 0.172 0.397
O 0.389 0.675 0.602
V 0.211 0.499 0.725
O 0.406 0.935 0.096
O 0.142 0.699 0.889
O 0.405 0.657 0.248
P 0.784 0.289 0.912
P 0.600 0.681 0.481
O 0.944 0.828 0.143
O 0.043 0.327 0.843
O 0.756 0.841 0.506
O 0.248 0.338 0.505



Of them, the most stable is x) and the least stable is w).



w) Computed, not measured: a geometry-optimized Li4MnVP3O12 structure at the PBE+U level of DFT.

Computed properties:
* total magnetic moment: 0.333 μB/atom
* SG: No. 2

Cell: 9.301 8.415 8.437 Å, 60.60 63.27 90.37°
Atoms (fractional coordinates):
O 0.588 0.967 0.796
O 0.899 0.554 0.306
Li 0.097 0.057 0.636
O 0.893 0.150 0.638
Li 0.409 0.202 0.331
O 0.821 0.503 0.660
V 0.965 0.648 0.691
O 0.101 0.446 0.694
P 0.246 0.453 0.493
O 0.254 0.148 0.001
O 0.101 0.790 0.742
O 0.817 0.832 0.680
Li 0.591 0.798 0.669
O 0.179 0.497 0.340
O 0.823 0.472 0.013
O 0.412 0.033 0.204
Mn 0.562 0.850 0.287
O 0.107 0.850 0.362
P 0.754 0.949 0.785
O 0.409 0.792 0.619
Li 0.865 0.264 0.804
O 0.755 0.134 0.104
P 0.246 0.051 0.215
Li 0.135 0.736 0.196
O 0.177 0.528 0.987
O 0.899 0.210 0.258
O 0.268 0.249 0.574
Li 0.147 0.341 0.925
O 0.746 0.852 0.999
O 0.407 0.602 0.383
Mn 0.438 0.150 0.713
P 0.762 0.255 0.191
O 0.245 0.866 0.896
P 0.754 0.547 0.507
Li 0.853 0.659 0.075
P 0.238 0.745 0.809
O 0.732 0.751 0.426
O 0.591 0.208 0.381
O 0.593 0.398 0.617
V 0.035 0.352 0.309
O 0.183 0.168 0.320
Li 0.903 0.943 0.364



x) Computed, not measured: a geometry-optimized Li4MnVP3O12 structure at the PBE+U level of DFT.

Computed properties:
* total magnetic moment: 0.333 μB/atom
* SG: No. 1

Cell: 9.262 8.439 8.416 Å, 60.71 63.06 90.53°
Atoms (fractional coordinates):
P 0.748 0.948 0.792
O 0.419 0.025 0.194
Li 0.410 0.201 0.325
O 0.889 0.140 0.656
P 0.759 0.251 0.194
O 0.727 0.837 0.012
O 0.415 0.813 0.600
O 0.901 0.202 0.247
O 0.194 0.163 0.313
O 0.188 0.543 0.970
O 0.806 0.832 0.685
O 0.256 0.882 0.879
O 0.589 0.208 0.392
P 0.252 0.457 0.497
O 0.100 0.446 0.700
Li 0.589 0.794 0.672
Li 0.900 0.938 0.369
P 0.243 0.754 0.796
Li 0.144 0.339 0.935
O 0.818 0.469 0.017
O 0.582 0.979 0.794
Mn 0.032 0.351 0.311
Li 0.099 0.064 0.628
O 0.896 0.568 0.301
Li 0.851 0.659 0.073
O 0.817 0.500 0.663
O 0.099 0.797 0.739
O 0.738 0.135 0.108
V 0.963 0.648 0.693
V 0.439 0.151 0.709
Li 0.138 0.730 0.194
O 0.107 0.848 0.358
O 0.413 0.598 0.400
Li 0.865 0.265 0.805
O 0.275 0.249 0.585
O 0.194 0.500 0.339
P 0.750 0.546 0.508
P 0.253 0.046 0.211
O 0.267 0.144 0.988
O 0.718 0.742 0.443
Mn 0.563 0.851 0.287
O 0.591 0.386 0.619



Of them, the most stable is w) and the least stable is x).